i) First-principles (GGA-PBE) data for a relaxed structure of P10Au7I, as listed in the Materials Project.

Unit cell a=6.2664 b=6.2664 c=11.4006 alpha=90.00 beta=90.00 gamma=120.00
Space group P-62m (No. 189)
Unique sites:
P1 0.0000 0.3766 0.2031 [6 per cell]
P2 0.3333 0.6667 0.2939 [4 per cell]
Au1 0.0000 0.0000 0.2308 [2 per cell]
Au2 0.0000 0.4545 0.0000 [3 per cell]
Au3 0.3333 0.6667 0.5000 [2 per cell]
I1 0.0000 0.0000 0.5000 [1 per cell]

Summary:
Magnetization ... 0.00 μB/f.u.
Crystal system ... hexagonal
Theoretical density ... 7.78 g cm⁻³

ii) First-principles (GGA-PBE) data for a relaxed structure of P10Au7I, as listed in the Materials Project.

Unit cell a=6.2790 b=6.2790 c=11.2672 alpha=90.00 beta=90.00 gamma=120.00
Space group P-31m (No. 162)
Unique sites:
P1 0.0000 0.3762 0.1990 [6 per cell]
P2 0.3333 0.6667 0.2918 [4 per cell]
Au1 0.0000 0.0000 0.2245 [2 per cell]
Au2 0.0000 0.5000 0.0000 [3 per cell]
Au3 0.3333 0.6667 0.5000 [2 per cell]
I1 0.0000 0.0000 0.5000 [1 per cell]

Summary:
Crystal system ... trigonal
Theoretical density ... 7.84 g cm⁻³

Most stable structure, least stable structure: ii), i).

i) First-principles (GGA-PBE) data for a relaxed structure of Tm2InAu2, as listed in the Materials Project.

Unit cell a=8.2791 b=8.2791 c=7.0980 alpha=90.00 beta=90.00 gamma=90.00
Space group P4_2/mnm (No. 136)
Unique sites:
Tm1 0.1551 0.1551 0.2501 [8 per cell]
In1 0.0000 0.5000 0.2500 [4 per cell]
Au1 0.1358 0.8642 0.0000 [4 per cell]
Au2 0.1368 0.8632 0.5000 [4 per cell]

Summary:
Magnetization ... 0.00 μB/f.u.
Crystal system ... tetragonal
Theoretical density ... 11.56 g cm⁻³

ii) First-principles (GGA-PBE) data for a relaxed structure of Tm2InAu2, as listed in the Materials Project.

Unit cell a=7.9670 b=7.9670 c=3.6351 alpha=90.00 beta=90.00 gamma=90.00
Space group P4/mbm (No. 127)
Unique sites:
Tm1 0.1694 0.3306 0.0000 [4 per cell]
In1 0.0000 0.0000 0.5000 [2 per cell]
Au1 0.1291 0.6291 0.5000 [4 per cell]

Summary:
Crystal system ... tetragonal
Theoretical density ... 12.19 g cm⁻³

Most stable structure, least stable structure: ii), i).